The following is a GGA-PBE calculation of Be2BHO4 after structural relaxation, from the Materials Project database.

Cell: 4.4586 9.8912 12.2323 Å, 90.00 90.00 90.00°
With the nearest neighbours (Å) after each atom.
Element x y z (fractional)
B: 0.2278 0.6073 0.3926  3 O 1.38
B: 0.7722 0.1073 0.1074  3 O 1.38
B: 0.2722 0.1073 0.3926  3 O 1.38
B: 0.7278 0.6073 0.1074  3 O 1.38
B: 0.7722 0.3927 0.6074  3 O 1.38
B: 0.2722 0.3927 0.8926  3 O 1.38
B: 0.7278 0.8927 0.6074  3 O 1.38
B: 0.2278 0.8927 0.8926  3 O 1.38
Be: 0.2405 0.9972 0.6890  4 O 1.63-1.67
Be: 0.2405 0.5028 0.1890  4 O 1.63-1.67
Be: 0.7760 0.2376 0.4317  4 O 1.63-1.65
Be: 0.2595 0.0028 0.1890  4 O 1.63-1.67
Be: 0.7595 0.0028 0.3110  4 O 1.63-1.67
Be: 0.7240 0.7376 0.4317  4 O 1.63-1.65
Be: 0.2760 0.2376 0.0683  4 O 1.63-1.65
Be: 0.7595 0.4972 0.8110  4 O 1.63-1.67
Be: 0.7405 0.5028 0.3110  4 O 1.63-1.67
Be: 0.2240 0.7624 0.5683  4 O 1.63-1.65
Be: 0.7405 0.9972 0.8110  4 O 1.63-1.67
Be: 0.2760 0.2624 0.5683  4 O 1.63-1.65
Be: 0.7240 0.7624 0.9317  4 O 1.63-1.65
Be: 0.7760 0.2624 0.9317  4 O 1.63-1.65
Be: 0.2595 0.4972 0.6890  4 O 1.63-1.67
Be: 0.2240 0.7376 0.0683  4 O 1.63-1.65
O: 0.8834 0.6883 0.0351  1 B 1.38
O: 0.3825 0.5377 0.3126  1 B 1.38
O: 0.1175 0.4623 0.8126  1 B 1.38
O: 0.1166 0.3117 0.9649  1 B 1.38
O: 0.6166 0.3117 0.5351  1 B 1.38
O: 0.9186 0.6021 0.3962  1 B 1.38
O: 0.2935 0.1598 0.6746  1 H 0.99
O: 0.8834 0.8117 0.5351  1 B 1.38
O: 0.4186 0.8979 0.6038  1 B 1.38
O: 0.6175 0.4623 0.6874  1 B 1.38
O: 0.5814 0.3979 0.8962  1 B 1.38
O: 0.2065 0.6598 0.6746  1 H 0.99
O: 0.2935 0.3402 0.1746  1 H 0.99
O: 0.8825 0.5377 0.1874  1 B 1.38
O: 0.6175 0.0377 0.1874  1 B 1.38
O: 0.3834 0.6883 0.4649  1 B 1.38
O: 0.7935 0.1598 0.8254  1 H 0.99
O: 0.7935 0.3402 0.3254  1 H 0.99
O: 0.0814 0.3979 0.6038  1 B 1.38
O: 0.8825 0.9623 0.6874  1 B 1.38
O: 0.5814 0.1021 0.3962  1 B 1.38
O: 0.1175 0.0377 0.3126  1 B 1.38
O: 0.7065 0.6598 0.8254  1 H 0.99
O: 0.9186 0.8979 0.8962  1 B 1.38
O: 0.0814 0.1021 0.1038  1 B 1.38
O: 0.3825 0.9623 0.8126  1 B 1.38
O: 0.3834 0.8117 0.9649  1 B 1.38
O: 0.2065 0.8402 0.1746  1 H 0.99
O: 0.6166 0.1883 0.0351  1 B 1.38
O: 0.1166 0.1883 0.4649  1 B 1.38
O: 0.4186 0.6021 0.1038  1 B 1.38
O: 0.7065 0.8402 0.3254  1 H 0.99
H: 0.9618 0.3168 0.2765  1 O 0.99
H: 0.0382 0.6832 0.7235  1 O 0.99
H: 0.4618 0.3168 0.2235  1 O 0.99
H: 0.5382 0.6832 0.7765  1 O 0.99
H: 0.0382 0.8168 0.2235  1 O 0.99
H: 0.4618 0.1832 0.7235  1 O 0.99
H: 0.5382 0.8168 0.2765  1 O 0.99
H: 0.9618 0.1832 0.7765  1 O 0.99

Properties
Volume ... 539 Å³/cell
ΔE_f ... -2.720 eV per atom